Below is an optimized crystal structure of Tm2Ni21B6, with properties calculated at the r2SCAN level.

Summary:
As for the calculated formation energy: -0.341 eV/atom. Its space-group type is No. 225.

a b c (Å): 7.453 7.453 7.453
angles (deg): 60.00 60.00 60.00
Atoms (fractional coordinates):
Tm1 0.250 0.250 0.250
Tm2 0.750 0.750 0.750
Ni1 0.838 0.387 0.387
Ni2 0.162 0.613 0.613
Ni3 0.613 0.613 0.613
Ni4 0.613 0.613 0.162
Ni5 0.387 0.838 0.387
Ni6 0.663 0.337 0.000
Ni7 0.000 0.337 0.663
Ni8 0.387 0.387 0.387
Ni9 0.000 0.000 0.337
Ni10 0.000 0.000 0.663
Ni11 0.000 0.337 0.000
Ni12 0.663 0.000 0.337
Ni13 0.337 0.000 0.000
Ni14 0.000 0.663 0.000
Ni15 0.337 0.000 0.663
Ni16 0.000 0.663 0.337
Ni17 0.337 0.663 0.000
Ni18 0.613 0.162 0.613
Ni19 0.000 0.000 0.000
Ni20 0.663 0.000 0.000
Ni21 0.387 0.387 0.838
B1 0.730 0.730 0.270
B2 0.730 0.270 0.730
B3 0.270 0.730 0.730
B4 0.270 0.270 0.730
B5 0.270 0.730 0.270
B6 0.730 0.270 0.270